Entry 1:
Material: KW3O9
Method: DFT, PBE with a Hubbard U
State: optimized geometry

Values from the calculation:
ρ ... 6.41 g/cm³
Electronic total energy ... -7.226 eV/atom
MP2020-corrected energy ... -8.73 eV per atom

Lattice parameters (Å, degrees): 3.883 7.527 32.781 83.43 89.95 89.95
Space group P1 (No. 1)
Symmetry-distinct sites (fractional):
K: 0.000 0.000 0.000 [1 per cell]
K: 0.003 0.601 0.798 [1 per cell]
K: 0.186 0.809 0.400 [1 per cell]
K: 0.985 0.209 0.600 [1 per cell]
K: 0.996 0.400 0.200 [1 per cell]
W: 0.587 0.709 0.599 [1 per cell]
W: 0.592 0.008 0.499 [1 per cell]
W: 0.592 0.105 0.300 [1 per cell]
W: 0.594 0.406 0.699 [1 per cell]
W: 0.595 0.106 0.799 [1 per cell]
W: 0.595 0.206 0.099 [1 per cell]
W: 0.595 0.808 0.899 [1 per cell]
W: 0.595 0.905 0.699 [1 per cell]
W: 0.596 0.507 0.499 [1 per cell]
W: 0.597 0.507 0.999 [1 per cell]
W: 0.598 0.905 0.199 [1 per cell]
W: 0.599 0.308 0.899 [1 per cell]
W: 0.599 0.605 0.299 [1 per cell]
W: 0.599 0.704 0.099 [1 per cell]
W: 0.601 0.306 0.399 [1 per cell]
O: 0.091 0.706 0.599 [1 per cell]
O: 0.093 0.007 0.499 [1 per cell]
O: 0.094 0.104 0.299 [1 per cell]
O: 0.094 0.408 0.698 [1 per cell]
O: 0.095 0.507 0.499 [1 per cell]
O: 0.095 0.905 0.699 [1 per cell]
O: 0.096 0.109 0.800 [1 per cell]
O: 0.096 0.204 0.100 [1 per cell]
O: 0.097 0.808 0.899 [1 per cell]
O: 0.098 0.504 0.998 [1 per cell]
O: 0.098 0.606 0.299 [1 per cell]
O: 0.099 0.306 0.399 [1 per cell]
O: 0.099 0.308 0.899 [1 per cell]
O: 0.099 0.705 0.099 [1 per cell]
O: 0.099 0.909 0.199 [1 per cell]
O: 0.591 0.911 0.558 [1 per cell]
O: 0.592 0.870 0.640 [1 per cell]
O: 0.593 0.502 0.641 [1 per cell]
O: 0.593 0.544 0.557 [1 per cell]
O: 0.593 0.847 0.315 [1 per cell]
O: 0.594 0.139 0.357 [1 per cell]
O: 0.594 0.246 0.516 [1 per cell]
O: 0.594 0.314 0.756 [1 per cell]
O: 0.594 0.651 0.716 [1 per cell]
O: 0.594 0.768 0.483 [1 per cell]
O: 0.595 0.101 0.440 [1 per cell]
O: 0.595 0.113 0.158 [1 per cell]
O: 0.596 0.274 0.841 [1 per cell]
O: 0.596 0.298 0.042 [1 per cell]
O: 0.596 0.945 0.758 [1 per cell]
O: 0.597 0.161 0.683 [1 per cell]
O: 0.597 0.900 0.842 [1 per cell]
O: 0.598 0.051 0.915 [1 per cell]
O: 0.598 0.363 0.283 [1 per cell]
O: 0.598 0.960 0.083 [1 per cell]
O: 0.599 0.471 0.442 [1 per cell]
O: 0.599 0.510 0.358 [1 per cell]
O: 0.599 0.565 0.884 [1 per cell]
O: 0.599 0.668 0.040 [1 per cell]
O: 0.599 0.716 0.957 [1 per cell]
O: 0.600 0.069 0.241 [1 per cell]
O: 0.600 0.450 0.116 [1 per cell]
O: 0.601 0.341 0.957 [1 per cell]
O: 0.601 0.702 0.241 [1 per cell]
O: 0.601 0.743 0.158 [1 per cell]

***

Entry 2:
Material: K4W11O35
Method: DFT, PBE with a Hubbard U
State: optimized geometry

Values from the calculation:
ρ ... 5.45 g/cm³
Electronic total energy ... -6.758 eV/atom
MP2020-corrected energy ... -7.85 eV per atom

Lattice parameters (Å, degrees): 7.357 7.439 17.462 86.40 84.93 61.19
Space group P1 (No. 1)
Symmetry-distinct sites (fractional):
K: 0.000 0.000 0.000 [1 per cell]
K: 0.003 0.091 0.495 [1 per cell]
K: 0.076 0.952 0.265 [1 per cell]
K: 0.904 0.250 0.745 [1 per cell]
W: 0.027 0.564 0.885 [1 per cell]
W: 0.035 0.519 0.382 [1 per cell]
W: 0.054 0.535 0.160 [1 per cell]
W: 0.058 0.581 0.594 [1 per cell]
W: 0.433 0.118 0.089 [1 per cell]
W: 0.514 0.038 0.919 [1 per cell]
W: 0.519 0.559 0.887 [1 per cell]
W: 0.522 0.535 0.404 [1 per cell]
W: 0.542 0.035 0.634 [1 per cell]
W: 0.547 0.032 0.392 [1 per cell]
W: 0.562 0.546 0.114 [1 per cell]
O: 0.023 0.498 0.503 [1 per cell]
O: 0.033 0.630 0.786 [1 per cell]
O: 0.036 0.537 0.270 [1 per cell]
O: 0.158 0.112 0.114 [1 per cell]
O: 0.190 0.724 0.571 [1 per cell]
O: 0.197 0.194 0.183 [1 per cell]
O: 0.203 0.416 0.068 [1 per cell]
O: 0.219 0.350 0.648 [1 per cell]
O: 0.222 0.637 0.922 [1 per cell]
O: 0.235 0.610 0.385 [1 per cell]
O: 0.238 0.280 0.897 [1 per cell]
O: 0.239 0.241 0.388 [1 per cell]
O: 0.312 0.588 0.170 [1 per cell]
O: 0.346 0.070 0.557 [1 per cell]
O: 0.412 0.855 0.914 [1 per cell]
O: 0.454 0.814 0.392 [1 per cell]
O: 0.463 0.012 0.731 [1 per cell]
O: 0.512 0.565 0.787 [1 per cell]
O: 0.516 0.813 0.110 [1 per cell]
O: 0.549 0.944 0.512 [1 per cell]
O: 0.560 0.997 0.278 [1 per cell]
O: 0.576 0.524 0.013 [1 per cell]
O: 0.588 0.257 0.434 [1 per cell]
O: 0.602 0.230 0.108 [1 per cell]
O: 0.623 0.148 0.295 [1 per cell]
O: 0.638 0.245 0.924 [1 per cell]
O: 0.674 0.146 0.848 [1 per cell]
O: 0.680 0.177 0.625 [1 per cell]
O: 0.786 0.752 0.636 [1 per cell]
O: 0.808 0.804 0.937 [1 per cell]
O: 0.819 0.465 0.157 [1 per cell]
O: 0.825 0.441 0.395 [1 per cell]
O: 0.829 0.465 0.886 [1 per cell]
O: 0.838 0.805 0.394 [1 per cell]
O: 0.894 0.791 0.130 [1 per cell]

***

Entry 3:
Material: KW6O18
Method: DFT, PBE with a Hubbard U
State: optimized geometry

Values from the calculation:
ρ ... 6.29 g/cm³
Electronic total energy ... -7.380 eV/atom
MP2020-corrected energy ... -8.94 eV per atom

Lattice parameters (Å, degrees): 7.5154 7.5154 7.7222 90.00 90.00 120.00
Space group P-31m (No. 162)
Symmetry-distinct sites (fractional):
K: 0.0000 0.0000 0.0000 [1 per cell]
W: 0.0000 0.4895 0.7493 [6 per cell]
O: 0.0000 0.5000 0.0000 [3 per cell]
O: 0.0000 0.5000 0.5000 [3 per cell]
O: 0.2090 0.4231 0.2481 [12 per cell]

***

Entry 4:
Material: K2WO4
Method: DFT, PBE with a Hubbard U
State: optimized geometry

Values from the calculation:
ρ ... 3.95 g/cm³
Electronic total energy ... -6.232 eV/atom
MP2020-corrected energy ... -7.26 eV per atom

Lattice parameters (Å, degrees): 12.610 6.290 7.698 90.00 116.17 90.00
Space group C2/m (No. 12)
Symmetry-distinct sites (fractional):
K: 0.007 0.000 0.233 [4 per cell]
K: 0.156 0.500 0.748 [4 per cell]
W: 0.176 0.500 0.229 [4 per cell]
O: 0.088 0.500 0.364 [4 per cell]
O: 0.143 0.264 0.078 [8 per cell]
O: 0.166 0.000 0.612 [4 per cell]

***

Entry 5:
Material: K2W2O15
Method: DFT, PBE with a Hubbard U
State: optimized geometry

Values from the calculation:
ρ ... 2.97 g/cm³
Electronic total energy ... -5.632 eV/atom
MP2020-corrected energy ... -6.23 eV per atom

Lattice parameters (Å, degrees): 6.311 9.518 13.708 94.19 103.26 104.69
Space group P-1 (No. 2)
Symmetry-distinct sites (fractional):
K: 0.035 0.288 0.374 [2 per cell]
K: 0.319 0.752 0.974 [2 per cell]
W: 0.127 0.107 0.814 [2 per cell]
W: 0.440 0.465 0.750 [2 per cell]
O: 0.054 0.742 0.161 [2 per cell]
O: 0.062 0.982 0.308 [2 per cell]
O: 0.169 0.883 0.810 [2 per cell]
O: 0.173 0.873 0.142 [2 per cell]
O: 0.175 0.467 0.560 [2 per cell]
O: 0.186 0.361 0.619 [2 per cell]
O: 0.187 0.370 0.087 [2 per cell]
O: 0.245 0.099 0.947 [2 per cell]
O: 0.315 0.604 0.781 [2 per cell]
O: 0.330 0.504 0.106 [2 per cell]
O: 0.338 0.977 0.783 [2 per cell]
O: 0.346 0.480 0.314 [2 per cell]
O: 0.353 0.273 0.788 [2 per cell]
O: 0.389 0.853 0.569 [2 per cell]
O: 0.474 0.201 0.461 [2 per cell]

***

Entry 6:
Material: KW3O9
Method: DFT, PBE with a Hubbard U
State: optimized geometry

Values from the calculation:
ρ ... 6.40 g/cm³
Electronic total energy ... -7.232 eV/atom
MP2020-corrected energy ... -8.73 eV per atom

Lattice parameters (Å, degrees): 7.496 13.073 7.786 90.00 90.03 90.00
Space group Cc (No. 9)
Symmetry-distinct sites (fractional):
K: 0.000 0.000 0.000 [4 per cell]
W: 0.249 0.249 0.267 [4 per cell]
W: 0.251 0.250 0.767 [4 per cell]
W: 0.499 0.000 0.266 [4 per cell]
O: 0.000 0.493 0.017 [4 per cell]
O: 0.001 0.208 0.758 [4 per cell]
O: 0.185 0.395 0.276 [4 per cell]
O: 0.185 0.399 0.758 [4 per cell]
O: 0.239 0.254 0.023 [4 per cell]
O: 0.261 0.247 0.510 [4 per cell]
O: 0.316 0.102 0.776 [4 per cell]
O: 0.316 0.105 0.258 [4 per cell]
O: 0.499 0.291 0.776 [4 per cell]